Record 1
The following is a meta-GGA r2SCAN calculation of a relaxed structure of Ca2PdAu, from the Materials Project database.

CIF file:
```
data_Ca2PdAu
_chemical_formula_sum 'Ca8 Pd4 Au4'
_space_group_name_H-M_alt 'F m -3 m'
_space_group_IT_number 225
_space_group_name_Hall '-F 4 2 3'
_cell_length_a 7.125
_cell_length_b 7.125
_cell_length_c 7.125
_cell_angle_alpha 90.00
_cell_angle_beta 90.00
_cell_angle_gamma 90.00
loop_
_atom_site_label
_atom_site_fract_x
_atom_site_fract_y
_atom_site_fract_z
Ca1 0.250 0.250 0.250
Pd1 0.000 0.000 0.000
Au1 0.000 0.000 0.500
```

Record 2
The following is a meta-GGA r2SCAN calculation of a relaxed structure of Ca2PtAu, from the Materials Project database.

CIF file:
```
data_Ca2PtAu
_chemical_formula_sum 'Ca4 Pt2 Au2'
_space_group_name_H-M_alt 'A m m 2'
_space_group_IT_number 38
_cell_length_a 4.478
_cell_length_b 3.986
_cell_length_c 10.773
_cell_angle_alpha 90.00
_cell_angle_beta 90.00
_cell_angle_gamma 90.00
loop_
_space_group_symop_operation_xyz
'x,y,z'
'-x,-y,z'
'-x,y,z'
'x,-y,z'
'x,y+1/2,z+1/2'
'-x,-y+1/2,z+1/2'
'-x,y+1/2,z+1/2'
'x,-y+1/2,z+1/2'
loop_
_atom_site_label
_atom_site_fract_x
_atom_site_fract_y
_atom_site_fract_z
Ca1 0.000 0.000 0.000
Ca2 0.500 0.000 0.281
Pt1 0.000 0.000 0.720
Au1 0.500 0.000 0.563
```

Record 3
The following is a meta-GGA r2SCAN calculation of a relaxed structure of CaSbAu, from the Materials Project database.

CIF file:
```
data_CaSbAu
_chemical_formula_sum 'Ca2 Sb2 Au2'
_space_group_name_H-M_alt 'P 63/m m c'
_space_group_IT_number 194
_space_group_name_Hall '-P 6c 2c'
_cell_length_a 4.6495
_cell_length_b 4.6495
_cell_length_c 8.2417
_cell_angle_alpha 90.00
_cell_angle_beta 90.00
_cell_angle_gamma 120.00
loop_
_atom_site_label
_atom_site_fract_x
_atom_site_fract_y
_atom_site_fract_z
Ca1 0.0000 0.0000 0.0000
Sb1 0.3333 0.6667 0.2500
Au1 0.3333 0.6667 0.7500
```

Record 4
The following is a meta-GGA r2SCAN calculation of a relaxed structure of CaSiAu, from the Materials Project database.

CIF file:
```
data_CaSiAu
_chemical_formula_sum 'Ca1 Si1 Au1'
_space_group_name_H-M_alt 'P -6 m 2'
_space_group_IT_number 187
_space_group_name_Hall 'P -6 2'
_cell_length_a 4.3276
_cell_length_b 4.3276
_cell_length_c 3.9425
_cell_angle_alpha 90.00
_cell_angle_beta 90.00
_cell_angle_gamma 120.00
loop_
_atom_site_label
_atom_site_fract_x
_atom_site_fract_y
_atom_site_fract_z
Ca1 0.0000 0.0000 0.0000
Si1 0.6667 0.3333 0.5000
Au1 0.3333 0.6667 0.5000
```

Record 5
The following is a meta-GGA r2SCAN calculation of a relaxed structure of CaSnAu, from the Materials Project database.

CIF file:
```
data_CaSnAu
_chemical_formula_sum 'Ca4 Sn4 Au4'
_space_group_name_H-M_alt 'I m m 2'
_space_group_IT_number 44
_cell_length_a 4.759
_cell_length_b 7.364
_cell_length_c 8.256
_cell_angle_alpha 90.00
_cell_angle_beta 90.00
_cell_angle_gamma 90.00
loop_
_space_group_symop_operation_xyz
'x,y,z'
'-x,-y,z'
'-x,y,z'
'x,-y,z'
'x+1/2,y+1/2,z+1/2'
'-x+1/2,-y+1/2,z+1/2'
'-x+1/2,y+1/2,z+1/2'
'x+1/2,-y+1/2,z+1/2'
loop_
_atom_site_label
_atom_site_fract_x
_atom_site_fract_y
_atom_site_fract_z
Ca1 0.000 0.000 0.000
Ca2 0.000 0.500 0.059
Sn1 0.000 0.206 0.362
Au1 0.000 0.269 0.693
```

Record 6
The following is a meta-GGA r2SCAN calculation of a relaxed structure of Cd3Au, from the Materials Project database.

CIF file:
```
data_Cd3Au
_chemical_formula_sum 'Cd18 Au6'
_space_group_name_H-M_alt 'P 63 c m'
_space_group_IT_number 185
_space_group_name_Hall 'P 6c -2'
_cell_length_a 8.1958
_cell_length_b 8.1958
_cell_length_c 8.6351
_cell_angle_alpha 90.00
_cell_angle_beta 90.00
_cell_angle_gamma 120.00
loop_
_atom_site_label
_atom_site_fract_x
_atom_site_fract_y
_atom_site_fract_z
Cd1 0.0000 0.0000 0.0000
Cd2 0.0000 0.2949 0.2493
Cd3 0.0000 0.3661 0.5939
Cd4 0.3333 0.6667 0.3761
Au1 0.0000 0.3294 0.9218
```

Record 7
The following is a meta-GGA r2SCAN calculation of a relaxed structure of Cd8Au5, from the Materials Project database.

CIF file:
```
data_Cd8Au5
_chemical_formula_sum 'Cd32 Au20'
_space_group_name_H-M_alt 'I -4 3 m'
_space_group_IT_number 217
_space_group_name_Hall 'I -4 2 3'
_cell_length_a 10.020
_cell_length_b 10.020
_cell_length_c 10.020
_cell_angle_alpha 90.00
_cell_angle_beta 90.00
_cell_angle_gamma 90.00
loop_
_atom_site_label
_atom_site_fract_x
_atom_site_fract_y
_atom_site_fract_z
Cd1 0.036 0.313 0.687
Cd2 0.109 0.109 0.891
Au1 0.000 0.000 0.359
Au2 0.175 0.175 0.175
```

Record 8
The following is a meta-GGA r2SCAN calculation of a relaxed structure of CeCdAu, from the Materials Project database.

CIF file:
```
data_CeCdAu
_chemical_formula_sum 'Ce3 Cd3 Au3'
_space_group_name_H-M_alt 'P 1 m 1'
_space_group_IT_number 6
_cell_length_a 7.888
_cell_length_b 4.108
_cell_length_c 7.891
_cell_angle_alpha 90.00
_cell_angle_beta 119.95
_cell_angle_gamma 90.00
loop_
_space_group_symop_operation_xyz
'x,y,z'
'x,-y,z'
loop_
_atom_site_label
_atom_site_fract_x
_atom_site_fract_y
_atom_site_fract_z
Ce1 0.000 0.000 0.000
Ce2 0.184 0.000 0.592
Ce3 0.592 0.000 0.408
Cd1 0.340 0.500 0.001
Cd2 0.592 0.500 0.748
Cd3 0.844 0.500 0.253
Au1 0.259 0.500 0.334
Au2 0.592 0.000 0.001
Au3 0.925 0.500 0.666
```

Record 9
The following is a meta-GGA r2SCAN calculation of a relaxed structure of EuCdAu, from the Materials Project database.

CIF file:
```
data_EuCdAu
_chemical_formula_sum 'Eu4 Cd4 Au4'
_space_group_name_H-M_alt 'P n m a'
_space_group_IT_number 62
_cell_length_a 7.574
_cell_length_b 4.430
_cell_length_c 8.936
_cell_angle_alpha 90.00
_cell_angle_beta 90.00
_cell_angle_gamma 90.00
loop_
_space_group_symop_operation_xyz
'x,y,z'
'-x,-y,-z'
'-x+1/2,-y,z+1/2'
'x+1/2,y,-z+1/2'
'x+1/2,-y+1/2,-z+1/2'
'-x+1/2,y+1/2,z+1/2'
'-x,y+1/2,-z'
'x,-y+1/2,z'
loop_
_atom_site_label
_atom_site_fract_x
_atom_site_fract_y
_atom_site_fract_z
Eu1 0.042 0.250 0.182
Cd1 0.141 0.250 0.561
Au1 0.246 0.750 0.372
```

Record 10
The following is a meta-GGA r2SCAN calculation of a relaxed structure of EuCdAu5, from the Materials Project database.

CIF file:
```
data_EuCdAu5
_chemical_formula_sum 'Eu2 Cd2 Au10'
_space_group_name_H-M_alt 'C 1 2 1'
_space_group_IT_number 5
_cell_length_a 5.469
_cell_length_b 10.223
_cell_length_c 5.785
_cell_angle_alpha 90.00
_cell_angle_beta 117.89
_cell_angle_gamma 90.00
loop_
_space_group_symop_operation_xyz
'x,y,z'
'-x,y,-z'
'x+1/2,y+1/2,z'
'-x+1/2,y+1/2,-z'
loop_
_atom_site_label
_atom_site_fract_x
_atom_site_fract_y
_atom_site_fract_z
Eu1 0.000 0.000 0.000
Cd1 0.000 0.250 0.500
Au1 0.000 0.305 0.000
Au2 0.000 0.695 0.000
Au3 0.000 0.750 0.500
Au4 0.195 0.500 0.390
```

Record 11
The following is a meta-GGA r2SCAN calculation of a relaxed structure of CdAu2F8, from the Materials Project database.

CIF file:
```
data_CdAu2F8
_chemical_formula_sum 'Cd2 Au4 F16'
_space_group_name_H-M_alt 'P 4/m c c'
_space_group_IT_number 124
_space_group_name_Hall '-P 4 2c'
_cell_length_a 5.727
_cell_length_b 5.727
_cell_length_c 10.321
_cell_angle_alpha 90.00
_cell_angle_beta 90.00
_cell_angle_gamma 90.00
loop_
_atom_site_label
_atom_site_fract_x
_atom_site_fract_y
_atom_site_fract_z
Cd1 0.000 0.000 0.250
Au1 0.000 0.500 0.000
F1 0.152 0.308 0.130
```

Record 12
The following is a meta-GGA r2SCAN calculation of a relaxed structure of GdCdAu2, from the Materials Project database.

CIF file:
```
data_GdCdAu2
_chemical_formula_sum 'Gd4 Cd4 Au8'
_space_group_name_H-M_alt 'F m -3 m'
_space_group_IT_number 225
_space_group_name_Hall '-F 4 2 3'
_cell_length_a 6.981
_cell_length_b 6.981
_cell_length_c 6.981
_cell_angle_alpha 90.00
_cell_angle_beta 90.00
_cell_angle_gamma 90.00
loop_
_atom_site_label
_atom_site_fract_x
_atom_site_fract_y
_atom_site_fract_z
Gd1 0.000 0.000 0.000
Cd1 0.000 0.000 0.500
Au1 0.250 0.250 0.250
```

no.,magnetic moment (μB per atom),total energy (eV per atom)
1,0.00,-22.646
2,0.00,-29.964
3,0.00,-28.699
4,0.00,-22.845
5,0.00,-28.256
6,0.00,-27.885
7,0.00,-31.980
8,0.43,-34.523
9,2.37,-37.091
10,1.00,-44.993
11,0.00,-14.834
12,1.86,-41.855